Record 1
The following is a PBE with a Hubbard U calculation of a relaxed structure of Li4MnCo2O7, from the Materials Project.

- Magnetic moment: 5.00 μB/f.u.
- Formation energy: -1843.4 meV per atom
- Excess energy over the best structure of this formula in the dataset: 41 meV/atom
- Calculated density: 4.14 Mg/m³

a b c (Å): 14.849 14.849 5.907
angles (deg): 83.89 83.89 11.17
Fractional coordinates of all 28 atoms:
1 Li 0.577 0.577 0.219
2 Li 0.709 0.709 0.640
3 Li 0.856 0.856 0.075
4 Li 0.143 0.143 0.934
5 Li 0.285 0.285 0.358
6 Li 0.427 0.427 0.784
7 Li 0.003 0.003 0.499
8 Li 0.143 0.143 0.422
9 Mn 0.002 0.002 0.998
10 Mn 0.711 0.711 0.148
11 Co 0.285 0.285 0.859
12 Co 0.428 0.428 0.289
13 Co 0.580 0.580 0.696
14 Co 0.856 0.856 0.569
15 O 0.501 0.501 0.222
16 O 0.640 0.640 0.684
17 O 0.781 0.781 0.093
18 O 0.067 0.067 0.949
19 O 0.215 0.215 0.365
20 O 0.355 0.355 0.813
21 O 0.927 0.927 0.515
22 O 0.648 0.648 0.175
23 O 0.786 0.786 0.626
24 O 0.934 0.934 0.057
25 O 0.215 0.215 0.918
26 O 0.357 0.357 0.330
27 O 0.499 0.499 0.780
28 O 0.070 0.070 0.481

Record 2
The following is a PBE with a Hubbard U calculation of a relaxed structure of Li4MnCo2O7, from the Materials Project.

- Magnetic moment: 9.55 μB/f.u.
- Formation energy: -1822.5 meV per atom
- Excess energy over the best structure of this formula in the dataset: 61 meV/atom
- Calculated density: 4.13 Mg/m³

a b c (Å): 5.126 5.126 17.624
angles (deg): 84.91 84.91 33.02
Fractional coordinates of all 28 atoms:
1 Li 0.289 0.289 0.924
2 Li 0.851 0.851 0.786
3 Li 0.432 0.432 0.635
4 Li 0.993 0.993 0.496
5 Li 0.577 0.577 0.360
6 Li 0.148 0.148 0.221
7 Li 0.711 0.711 0.078
8 Li 0.279 0.279 0.428
9 Mn 0.000 0.000 0.001
10 Mn 0.144 0.144 0.712
11 Co 0.570 0.570 0.856
12 Co 0.711 0.711 0.557
13 Co 0.860 0.860 0.293
14 Co 0.433 0.433 0.149
15 O 0.375 0.375 0.035
16 O 0.933 0.933 0.901
17 O 0.516 0.516 0.743
18 O 0.085 0.085 0.611
19 O 0.636 0.636 0.468
20 O 0.231 0.231 0.318
21 O 0.800 0.800 0.188
22 O 0.208 0.208 0.815
23 O 0.768 0.768 0.682
24 O 0.344 0.344 0.537
25 O 0.923 0.923 0.381
26 O 0.494 0.494 0.252
27 O 0.065 0.065 0.103
28 O 0.625 0.625 0.971